This record from the Materials Project describes a relaxed TbAl2 crystal. The functional is GGA-PBE.

a = 7.8911 Å, b = 7.8911 Å, c = 7.8911 Å
α = 90.00°, β = 90.00°, γ = 90.00°
Space group Fd-3m (No. 227, origin choice 2)
Unique sites:
Tb: 0.1250 0.1250 0.1250 [8 per cell]
Al: 0.0000 0.0000 0.5000 [16 per cell]

Values from the calculation:
- Calculated volume: 20.5 Å³/atom
- E_form: -0.52 eV per atom